P:
Density functional theory data (PBE) for a geometry-optimized OsO2F4 structure.

Cell lengths 9.5236, 9.5236, 11.7835 Å; angles 90.00, 90.00, 120.00 degrees
With the nearest neighbours (Å) after each atom.
Space group P6_1 (No. 169)
Asymmetric unit:
Os 0.0099 0.5317 0.0000 (multiplicity 6)  2 O 1.71-1.72, 2 F 1.89
O 0.0217 0.5746 0.1423 (multiplicity 6)  1 Os 1.72
O 0.1892 0.6143 0.4860 (multiplicity 6)  1 Os 1.71
F 0.0112 0.2837 0.4752 (multiplicity 6)  1 Os 1.89
F 0.0401 0.5570 0.8387 (multiplicity 6)  1 Os 1.92
F 0.0572 0.3612 0.0009 (multiplicity 6)  1 Os 1.89
F 0.2434 0.6534 0.9918 (multiplicity 6)  1 Os 1.93

The volume is 22.0 A^3/atom. As for the magnetization: 0.00 Bohr magnetons per cell.


Q:
Density functional theory data (PBE) for a geometry-optimized OsO2F4 structure.

Cell lengths 5.0212, 5.0212, 27.8725 Å; angles 90.00, 90.00, 120.00 degrees
With the nearest neighbours (Å) after each atom.
Space group P6_1 (No. 169)
Asymmetric unit:
Os 0.0097 0.4653 0.0000 (multiplicity 6)  2 O 1.71-1.72, 2 F 1.88
O 0.1798 0.7368 0.7055 (multiplicity 6)  1 Os 1.72
O 0.2568 0.7388 0.9605 (multiplicity 6)  1 Os 1.71
F 0.0391 0.2555 0.5386 (multiplicity 6)  1 Os 1.88
F 0.0442 0.8648 0.4615 (multiplicity 6)  1 Os 1.88
F 0.1494 0.4785 0.8702 (multiplicity 6)  1 Os 1.94
F 0.2272 0.6619 0.1316 (multiplicity 6)  1 Os 1.94

The volume is 14.5 A^3/atom. As for the magnetization: 0.00 Bohr magnetons per cell.


According to the calculations, the structures order from most to least stable as Q, P.